[1]
Entry from Materials Project: an optimized crystal structure of Li4WO5 (PBE+U).

The structure in extended XYZ format:
```
10
Lattice="-3.390 3.390 2.027 3.390 -3.390 2.027 3.390 3.390 -2.027" Properties=species:S:1:pos:R:3 pbc="T T T"
O 1.549 2.815 2.040
O 0.575 4.939 0.012
O 2.815 -1.549 2.040
O 0.000 0.000 2.033
O 1.841 0.575 0.012
Li 4.105 1.250 0.002
Li 2.140 0.714 2.030
Li -0.714 2.140 2.030
Li 1.250 2.676 0.002
W 0.000 0.000 3.999
```

Calculated values
Space-group type: No. 79
Largest piezoelectric modulus in C/m²: 6.6
E (MP2020) in hartree per atom: -0.2525
Energy above the most stable polymorph in this dataset in meV/atom: 33.1
Uncorrected energy in Ry per atom: -0.447



[2]
Entry from Materials Project: an optimized crystal structure of V4O5F7 (PBE+U).

The structure in extended XYZ format:
```
16
Lattice="-5.187 -0.045 -0.025 -2.635 -4.709 0.032 0.017 -2.890 8.588" Properties=species:S:1:pos:R:3 pbc="T T T"
F -6.742 -4.103 1.451
F -3.040 -3.033 5.360
F -1.064 -3.591 7.066
F -6.683 -5.285 5.024
F -3.671 -2.107 2.823
F -2.097 -6.048 7.507
F -5.653 -1.650 1.018
O -4.085 -3.809 0.701
O -3.632 -3.852 7.819
O -4.793 -4.561 3.228
O -4.063 -5.403 5.773
O -1.133 -2.311 3.584
V -2.437 -1.468 4.259
V -2.789 -4.678 0.069
V -2.817 -4.549 6.527
V -5.161 -3.232 2.264
```

Calculated values
Space-group type: No. 1
E (MP2020) in hartree per atom: -0.2723
Energy above the most stable polymorph in this dataset in meV/atom: 7.1
Uncorrected energy in Ry per atom: -0.483